1.
# Ba2Ni3F10

A geometry-optimized Ba2Ni3F10 structure (PBE with a Hubbard U, the Materials Project).

abc: 9.856 9.856 7.948
angles: 69.30 69.30 35.61
Fractional coordinates of all 30 atoms:
Ba1 0.783 0.783 0.813
Ba2 0.217 0.217 0.187
Ba3 0.885 0.885 0.221
Ba4 0.115 0.115 0.779
Ni1 0.753 0.247 0.500
Ni2 0.247 0.753 0.500
Ni3 0.677 0.677 0.483
Ni4 0.323 0.323 0.517
Ni5 0.575 0.575 0.041
Ni6 0.425 0.425 0.959
F1 0.500 0.000 0.500
F2 0.000 0.500 0.500
F3 0.275 0.725 0.000
F4 0.725 0.275 0.000
F5 0.737 0.737 0.220
F6 0.263 0.263 0.780
F7 0.983 0.983 0.682
F8 0.017 0.017 0.318
F9 0.634 0.634 0.757
F10 0.366 0.366 0.243
F11 0.871 0.353 0.473
F12 0.647 0.129 0.527
F13 0.129 0.647 0.527
F14 0.353 0.871 0.473
F15 0.112 0.589 0.976
F16 0.411 0.888 0.024
F17 0.888 0.411 0.024
F18 0.589 0.112 0.976
F19 0.479 0.479 0.684
F20 0.521 0.521 0.316

Formation energy   -3.06 eV per atom
Raw total energy   -4.932 eV/atom
Crystal system   monoclinic
Size of the total moment   0.400 μB/atom
V   209 Å³/f.u.

***

2.
# BaNiF6

A geometry-optimized BaNiF6 structure (PBE with a Hubbard U, the Materials Project).

abc: 4.905 4.905 4.905
angles: 98.87 98.87 98.87
Fractional coordinates of all 8 atoms:
Ba1 0.500 0.500 0.500
Ni1 0.000 0.000 0.000
F1 0.736 0.736 0.072
F2 0.072 0.736 0.736
F3 0.928 0.264 0.264
F4 0.264 0.264 0.928
F5 0.264 0.928 0.264
F6 0.736 0.072 0.736

Formation energy   -2.64 eV per atom
Raw total energy   -4.377 eV/atom
Crystal system   trigonal
V   113 Å³/f.u.

***

3.
# Ba2YNi2F11

A geometry-optimized Ba2YNi2F11 structure (PBE with a Hubbard U, the Materials Project).

abc: 7.860 7.860 13.502
angles: 90.00 90.00 120.00
Fractional coordinates of all 48 atoms:
Ba1 0.886 0.854 0.664
Ba2 0.520 0.196 0.817
Ba3 0.968 0.114 0.998
Ba4 0.804 0.324 0.484
Ba5 0.676 0.480 0.151
Ba6 0.146 0.032 0.331
Y1 0.460 0.668 0.895
Y2 0.209 0.540 0.228
Y3 0.332 0.791 0.561
Ni1 0.967 0.664 0.883
Ni2 0.118 0.403 0.719
Ni3 0.597 0.715 0.385
Ni4 0.697 0.033 0.216
Ni5 0.285 0.882 0.052
Ni6 0.336 0.303 0.549
F1 0.999 0.760 0.024
F2 0.847 0.389 0.932
F3 0.761 0.001 0.357
F4 0.417 0.090 0.497
F5 0.899 0.965 0.177
F6 0.290 0.322 0.193
F7 0.910 0.327 0.164
F8 0.678 0.968 0.860
F9 0.066 0.101 0.510
F10 0.576 0.000 0.079
F11 0.673 0.583 0.831
F12 0.240 0.239 0.690
F13 0.635 0.682 0.016
F14 0.348 0.153 0.011
F15 0.047 0.365 0.349
F16 0.611 0.458 0.598
F17 0.285 0.819 0.902
F18 0.424 0.424 0.412
F19 0.339 0.738 0.389
F20 0.318 0.953 0.682
F21 0.400 0.661 0.723
F22 0.847 0.194 0.677
F23 0.806 0.652 0.344
F24 0.533 0.715 0.235
F25 0.000 0.576 0.745
F26 0.035 0.934 0.843
F27 0.542 0.153 0.265
F28 0.199 0.381 0.862
F29 0.182 0.801 0.196
F30 0.262 0.600 0.056
F31 0.032 0.710 0.526
F32 0.181 0.467 0.568
F33 0.619 0.818 0.529

Formation energy   -3.48 eV per atom
Raw total energy   -5.529 eV/atom
Crystal system   trigonal
Size of the total moment   0.250 μB/atom
V   241 Å³/f.u.

***

4.
# BaZnNiF7

A geometry-optimized BaZnNiF7 structure (PBE with a Hubbard U, the Materials Project).

abc: 10.004 5.616 9.576
angles: 87.31 90.00 90.00
Fractional coordinates of all 40 atoms:
Ba1 0.315 0.740 0.500
Ba2 0.815 0.260 0.000
Ba3 0.685 0.260 0.500
Ba4 0.185 0.740 0.000
Zn1 0.399 0.302 0.810
Zn2 0.899 0.698 0.690
Zn3 0.101 0.302 0.310
Zn4 0.601 0.698 0.190
Ni1 0.612 0.805 0.811
Ni2 0.388 0.195 0.189
Ni3 0.888 0.805 0.311
Ni4 0.112 0.195 0.689
F1 0.443 0.894 0.122
F2 0.052 0.635 0.371
F3 0.705 0.527 0.750
F4 0.295 0.473 0.250
F5 0.455 0.117 0.363
F6 0.810 0.742 0.492
F7 0.780 0.980 0.750
F8 0.955 0.883 0.137
F9 0.448 0.635 0.871
F10 0.205 0.473 0.750
F11 0.057 0.894 0.622
F12 0.557 0.106 0.878
F13 0.280 0.020 0.750
F14 0.957 0.618 0.881
F15 0.545 0.883 0.637
F16 0.045 0.117 0.863
F17 0.220 0.020 0.250
F18 0.943 0.106 0.378
F19 0.457 0.382 0.619
F20 0.948 0.365 0.629
F21 0.043 0.382 0.119
F22 0.720 0.980 0.250
F23 0.543 0.618 0.381
F24 0.310 0.258 0.008
F25 0.190 0.258 0.508
F26 0.690 0.742 0.992
F27 0.552 0.365 0.129
F28 0.795 0.527 0.250

Formation energy   -2.81 eV per atom
Raw total energy   -4.469 eV/atom
Crystal system   monoclinic
Size of the total moment   0.300 μB/atom
V   134 Å³/f.u.

***

Question: Among the records above, which one has the lowest raw total energy?
Answer: Ba2YNi2F11

***

Question: formation energy of number 2 (BaNiF6)?
Answer: -2.64 eV per atom